(1)
A geometry-optimized K7Fe4Te8 structure, computed with PBE.

Output
Crystal system: tetragonal
Total magnetic moment: 22.00 μB/cell
VASP energy: -4.1427 eV/atom
Formation enthalpy at 0 K: -0.805 eV per atom

Cell: 12.233 12.233 8.698 Å, 90.00 90.00 90.00°
Atoms (fractional coordinates):
K1 0.008 0.508 0.250
K2 0.008 0.992 0.250
K3 0.250 0.250 0.208
K4 0.250 0.250 0.708
K5 0.250 0.750 0.250
K6 0.492 0.508 0.250
K7 0.492 0.992 0.250
K8 0.508 0.008 0.750
K9 0.508 0.492 0.750
K10 0.750 0.250 0.750
K11 0.750 0.750 0.292
K12 0.750 0.750 0.792
K13 0.992 0.008 0.750
K14 0.992 0.492 0.750
Fe1 0.145 0.750 0.856
Fe2 0.250 0.645 0.644
Fe3 0.250 0.855 0.644
Fe4 0.355 0.750 0.856
Fe5 0.645 0.250 0.144
Fe6 0.750 0.145 0.356
Fe7 0.750 0.355 0.356
Fe8 0.855 0.250 0.144
Te1 0.023 0.250 0.964
Te2 0.069 0.750 0.575
Te3 0.250 0.023 0.464
Te4 0.250 0.477 0.464
Te5 0.250 0.569 0.925
Te6 0.250 0.931 0.925
Te7 0.431 0.750 0.575
Te8 0.477 0.250 0.964
Te9 0.523 0.750 0.036
Te10 0.569 0.250 0.425
Te11 0.750 0.069 0.075
Te12 0.750 0.431 0.075
Te13 0.750 0.523 0.536
Te14 0.750 0.977 0.536
Te15 0.931 0.250 0.425
Te16 0.977 0.750 0.036

***

(2)
A geometry-optimized Mg6SiSnO8 structure, computed with PBE.

Output
Crystal system: tetragonal
Total magnetic moment: 0.00 μB/cell
VASP energy: -5.6815 eV/atom
Formation enthalpy at 0 K: -2.361 eV per atom
E above lowest polymorph: 0.003 eV/atom

Cell: 4.513 4.513 8.814 Å, 90.00 90.00 90.00°
Atoms (fractional coordinates):
Mg1 0.000 0.000 0.000
Mg2 0.000 0.000 0.500
Mg3 0.000 0.500 0.241
Mg4 0.000 0.500 0.759
Mg5 0.500 0.000 0.241
Mg6 0.500 0.000 0.759
Si1 0.500 0.500 0.000
Sn1 0.500 0.500 0.500
O1 0.000 0.000 0.248
O2 0.000 0.000 0.752
O3 0.000 0.500 0.000
O4 0.000 0.500 0.500
O5 0.500 0.000 0.000
O6 0.500 0.000 0.500
O7 0.500 0.500 0.226
O8 0.500 0.500 0.774

***

(3)
A geometry-optimized ScGaCu structure, computed with PBE.

Output
Crystal system: monoclinic
VASP energy: -4.9650 eV/atom
Formation enthalpy at 0 K: -0.478 eV per atom

Cell: 9.779 4.236 6.514 Å, 90.00 131.08 90.00°
Atoms (fractional coordinates):
Sc1 0.027 0.000 0.282
Sc2 0.473 0.500 0.718
Sc3 0.527 0.500 0.282
Sc4 0.973 0.000 0.718
Ga1 0.169 0.500 0.131
Ga2 0.331 0.000 0.869
Ga3 0.669 0.000 0.131
Ga4 0.831 0.500 0.869
Cu1 0.166 0.500 0.701
Cu2 0.334 0.000 0.299
Cu3 0.666 0.000 0.701
Cu4 0.834 0.500 0.299

***

(4)
A geometry-optimized Ca5P3O12F structure, computed with PBE.

Output
Crystal system: hexagonal
Total magnetic moment: 0.00 μB/cell
VASP energy: -7.1752 eV/atom
Formation enthalpy at 0 K: -3.420 eV per atom

Cell: 9.475 9.475 6.940 Å, 90.00 90.00 120.00°
Atoms (fractional coordinates):
Ca1 0.004 0.757 0.000
Ca2 0.243 0.248 0.000
Ca3 0.248 0.004 0.500
Ca4 0.333 0.667 0.249
Ca5 0.333 0.667 0.750
Ca6 0.667 0.333 0.250
Ca7 0.667 0.333 0.749
Ca8 0.752 0.996 0.000
Ca9 0.757 0.752 0.500
Ca10 0.996 0.243 0.500
P1 0.028 0.631 0.500
P2 0.369 0.398 0.500
P3 0.398 0.028 0.000
P4 0.602 0.972 0.500
P5 0.631 0.602 0.000
P6 0.972 0.369 0.000
O1 0.083 0.743 0.320
O2 0.084 0.743 0.680
O3 0.121 0.533 0.499
O4 0.159 0.485 0.000
O5 0.257 0.340 0.320
O6 0.257 0.341 0.680
O7 0.327 0.841 0.000
O8 0.340 0.083 0.820
O9 0.341 0.084 0.180
O10 0.412 0.879 0.499
O11 0.467 0.588 0.499
O12 0.485 0.327 0.500
O13 0.515 0.673 0.000
O14 0.533 0.412 0.999
O15 0.588 0.121 0.999
O16 0.659 0.916 0.680
O17 0.660 0.917 0.320
O18 0.673 0.159 0.500
O19 0.743 0.659 0.180
O20 0.743 0.660 0.820
O21 0.841 0.515 0.500
O22 0.879 0.467 0.999
O23 0.916 0.257 0.180
O24 0.917 0.257 0.820
F1 0.000 0.000 0.017
F2 0.000 0.000 0.517

***

(5)
A geometry-optimized ZnSe structure, computed with PBE.

Output
Crystal system: cubic
Piezoelectric modulus e_max: 0.1 C/m²
VASP energy: -3.0934 eV/atom
Formation enthalpy at 0 K: -0.952 eV per atom

Cell: 5.742 5.742 5.742 Å, 90.00 90.00 90.00°
Atoms (fractional coordinates):
Zn1 0.000 0.000 0.000
Zn2 0.000 0.500 0.500
Zn3 0.500 0.000 0.500
Zn4 0.500 0.500 0.000
Se1 0.250 0.250 0.250
Se2 0.250 0.750 0.750
Se3 0.750 0.250 0.750
Se4 0.750 0.750 0.250

***

(6)
A geometry-optimized LiCu4P3O12 structure, computed with PBE.

Output
Crystal system: monoclinic
Total magnetic moment: 4.00 μB/cell
VASP energy: -6.2419 eV/atom
Formation enthalpy at 0 K: -1.958 eV per atom
E above lowest polymorph: 0.000 eV/atom

Cell: 8.535 8.535 7.241 Å, 110.49 110.49 90.91°
Atoms (fractional coordinates):
Li1 0.004 0.996 0.750
Li2 0.996 0.004 0.250
Cu1 0.061 0.381 0.645
Cu2 0.266 0.734 0.250
Cu3 0.381 0.061 0.145
Cu4 0.493 0.507 0.750
Cu5 0.507 0.493 0.250
Cu6 0.619 0.939 0.855
Cu7 0.734 0.266 0.750
Cu8 0.939 0.619 0.355
P1 0.112 0.341 0.116
P2 0.278 0.722 0.750
P3 0.341 0.112 0.616
P4 0.659 0.888 0.384
P5 0.722 0.278 0.250
P6 0.888 0.659 0.884
O1 0.017 0.694 0.113
O2 0.040 0.410 0.292
O3 0.164 0.748 0.550
O4 0.168 0.170 0.611
O5 0.170 0.168 0.111
O6 0.252 0.836 0.950
O7 0.264 0.479 0.167
O8 0.269 0.532 0.742
O9 0.306 0.983 0.387
O10 0.410 0.040 0.792
O11 0.468 0.731 0.758
O12 0.479 0.264 0.667
O13 0.521 0.736 0.333
O14 0.532 0.269 0.242
O15 0.590 0.960 0.208
O16 0.694 0.017 0.613
O17 0.731 0.468 0.258
O18 0.736 0.521 0.833
O19 0.748 0.164 0.050
O20 0.830 0.832 0.889
O21 0.832 0.830 0.389
O22 0.836 0.252 0.450
O23 0.960 0.590 0.708
O24 0.983 0.306 0.887

***

(7)
A geometry-optimized Gd2BO3F3 structure, computed with PBE.

Output
Crystal system: monoclinic
Total magnetic moment: 112.00 μB/cell
VASP energy: -9.6516 eV/atom
Formation enthalpy at 0 K: -3.877 eV per atom

Cell: 16.740 6.252 8.391 Å, 90.00 93.40 90.00°
Atoms (fractional coordinates):
Gd1 0.055 0.144 0.200
Gd2 0.055 0.356 0.700
Gd3 0.190 0.647 0.320
Gd4 0.190 0.853 0.820
Gd5 0.326 0.140 0.442
Gd6 0.326 0.360 0.942
Gd7 0.431 0.631 0.333
Gd8 0.431 0.869 0.833
Gd9 0.569 0.131 0.167
Gd10 0.569 0.369 0.667
Gd11 0.674 0.640 0.058
Gd12 0.674 0.860 0.558
Gd13 0.810 0.147 0.180
Gd14 0.810 0.353 0.680
Gd15 0.945 0.644 0.300
Gd16 0.945 0.856 0.800
B1 0.053 0.659 0.041
B2 0.053 0.841 0.541
B3 0.328 0.652 0.599
B4 0.328 0.848 0.099
B5 0.672 0.152 0.901
B6 0.672 0.348 0.401
B7 0.947 0.159 0.459
B8 0.947 0.341 0.959
O1 0.008 0.196 0.929
O2 0.008 0.304 0.429
O3 0.077 0.521 0.163
O4 0.077 0.648 0.885
O5 0.077 0.852 0.385
O6 0.077 0.979 0.663
O7 0.304 0.513 0.478
O8 0.304 0.987 0.978
O9 0.305 0.643 0.755
O10 0.305 0.857 0.255
O11 0.385 0.694 0.063
O12 0.385 0.806 0.563
O13 0.615 0.194 0.437
O14 0.615 0.306 0.937
O15 0.695 0.143 0.745
O16 0.695 0.357 0.245
O17 0.696 0.013 0.022
O18 0.696 0.487 0.522
O19 0.923 0.021 0.337
O20 0.923 0.148 0.615
O21 0.923 0.352 0.115
O22 0.923 0.479 0.837
O23 0.992 0.696 0.571
O24 0.992 0.804 0.071
F1 0.150 0.571 0.595
F2 0.150 0.929 0.095
F3 0.188 0.229 0.821
F4 0.188 0.271 0.321
F5 0.229 0.571 0.042
F6 0.229 0.929 0.542
F7 0.353 0.172 0.715
F8 0.353 0.328 0.215
F9 0.451 0.174 0.990
F10 0.451 0.326 0.490
F11 0.467 0.524 0.796
F12 0.467 0.976 0.296
F13 0.533 0.024 0.704
F14 0.533 0.476 0.204
F15 0.549 0.674 0.510
F16 0.549 0.826 0.010
F17 0.647 0.672 0.785
F18 0.647 0.828 0.285
F19 0.771 0.071 0.458
F20 0.771 0.429 0.958
F21 0.812 0.729 0.679
F22 0.812 0.771 0.179
F23 0.850 0.071 0.905
F24 0.850 0.429 0.405

***

(8)
A geometry-optimized U2MnCoSe6 structure, computed with PBE.

Output
Crystal system: monoclinic
Total magnetic moment: 9.66 μB/cell
VASP energy: -6.7766 eV/atom
Formation enthalpy at 0 K: -1.077 eV per atom

Cell: 6.127 6.127 9.298 Å, 90.73 90.73 37.04°
Atoms (fractional coordinates):
U1 0.234 0.234 0.245
U2 0.766 0.766 0.755
Mn1 0.000 0.000 0.500
Co1 0.000 0.000 0.000
Se1 0.085 0.085 0.760
Se2 0.355 0.355 0.555
Se3 0.365 0.365 0.954
Se4 0.635 0.635 0.046
Se5 0.645 0.645 0.445
Se6 0.915 0.915 0.240